# PBE-GGA Cu4Sn7S16, optimized geometry
data_Cu4Sn7S16
_chemical_formula_sum 'Cu24 Sn42 S96'
_cell_length_a 24.8570
_cell_length_b 7.4326
_cell_length_c 21.0948
_cell_angle_alpha 90.00
_cell_angle_beta 115.56
_cell_angle_gamma 90.00
_symmetry_space_group_name_H-M 'C 1 m 1'
_symmetry_Int_Tables_number 8
loop_
_symmetry_equiv_pos_as_xyz
'x,y,z'
'x,-y,z'
'x+1/2,y+1/2,z'
'x+1/2,-y+1/2,z'
loop_
_atom_site_label
_atom_site_fract_x
_atom_site_fract_y
_atom_site_fract_z
_atom_site_occupancy
Cu1 0.0000 0.0000 0.0000 1
Cu2 0.0165 0.5000 0.3709 1
Cu3 0.0831 0.5000 0.6028 1
Cu4 0.1387 0.5000 0.8400 1
Cu5 0.1665 0.5000 0.3331 1
Cu6 0.1954 0.0000 0.7008 1
Cu7 0.2513 0.0000 0.9384 1
Cu8 0.3053 0.0000 0.1736 1
Cu9 0.3331 0.0000 0.6666 1
Cu10 0.3497 0.5000 0.0373 1
Cu11 0.4178 0.5000 0.2704 1
Cu12 0.4719 0.5000 0.5069 1
Sn1 0.0019 0.2483 0.6874 1
Sn2 0.0810 0.0000 0.3523 1
Sn3 0.0846 0.0000 0.8527 1
Sn4 0.0874 0.5000 0.1030 1
Sn5 0.1661 0.2552 0.5216 1
Sn6 0.1686 0.2511 0.0204 1
Sn7 0.2482 0.5000 0.6853 1
Sn8 0.2515 0.5000 0.1864 1
Sn9 0.2541 0.0000 0.4364 1
Sn10 0.3330 0.2458 0.8556 1
Sn11 0.3353 0.2488 0.3539 1
Sn12 0.4144 0.0000 0.0190 1
Sn13 0.4183 0.0000 0.5199 1
Sn14 0.4208 0.5000 0.7696 1
Sn15 0.4992 0.2546 0.1887 1
S1 0.0011 0.2442 0.8107 1
S2 0.0012 0.2570 0.0639 1
S3 0.0012 0.2615 0.5652 1
S4 0.0805 0.5000 0.7236 1
S5 0.0816 0.0000 0.2295 1
S6 0.0822 0.5000 0.2258 1
S7 0.0835 0.0000 0.7290 1
S8 0.0847 0.0000 0.9786 1
S9 0.0853 0.5000 0.4845 1
S10 0.0868 0.0000 0.4783 1
S11 0.0868 0.5000 0.9813 1
S12 0.1663 0.2602 0.6432 1
S13 0.1678 0.2380 0.8982 1
S14 0.1678 0.2429 0.3969 1
S15 0.1680 0.2563 0.1438 1
S16 0.2472 0.0000 0.0575 1
S17 0.2489 0.0000 0.5589 1
S18 0.2486 0.5000 0.5622 1
S19 0.2513 0.5000 0.0620 1
S20 0.2514 0.5000 0.3120 1
S21 0.2535 0.0000 0.3147 1
S22 0.2530 0.0000 0.8163 1
S23 0.2534 0.5000 0.8113 1
S24 0.3314 0.2386 0.9765 1
S25 0.3345 0.2616 0.2317 1
S26 0.3347 0.2438 0.4771 1
S27 0.3349 0.2571 0.7306 1
S28 0.4139 0.5000 0.3907 1
S29 0.4153 0.0000 0.8965 1
S30 0.4157 0.5000 0.8926 1
S31 0.4180 0.0000 0.3954 1
S32 0.4180 0.0000 0.6454 1
S33 0.4187 0.5000 0.1506 1
S34 0.4199 0.0000 0.1448 1
S35 0.4197 0.5000 0.6478 1
S36 0.4983 0.2610 0.3100 1
# **Energy relative to the lowest polymorph listed for this composition**: 0.0033 eV/atom



Cu2SnS3 | PBE-GGA | optimized geometry

Cell and atoms, written as CIF:
```
data_Cu2SnS3
_chemical_formula_sum 'Cu32 Sn16 S48'
_cell_length_a 7.7456
_cell_length_b 23.2133
_cell_length_c 10.9899
_cell_angle_alpha 90.00
_cell_angle_beta 90.00
_cell_angle_gamma 90.00
_symmetry_space_group_name_H-M 'F d d 2'
_symmetry_Int_Tables_number 43
_symmetry_space_group_name_Hall 'F 2 -2d'
loop_
_atom_site_label
_atom_site_fract_x
_atom_site_fract_y
_atom_site_fract_z
_atom_site_occupancy
Cu1 0.0000 0.0000 0.0000 1
Cu2 0.0000 0.0000 0.4925 1
Cu3 0.0078 0.1667 0.4900 1
Sn1 0.0126 0.3295 0.4937 1
S1 0.0025 0.2547 0.8605 1
S2 0.0150 0.4167 0.8773 1
S3 0.0159 0.0784 0.8670 1
```



It is found that the DFT formation energy values, taken in the order of the records, are -0.634, -0.577 eV/atom.